Entry 1:
VASP calculation (PBE-GGA) on a geometry-optimized Na9Ca4Ta8Si3P15O72 structure.

Calculated values
Its total DFT energy (no corrections) is -849.04 eV per cell. The total magnetization comes out at 0.000 μB per atom. For the MP2020-corrected energy, the calculation gives -898.506 eV/f.u. The energy of formation is -286.8 kJ/mol of atoms.

Cell: 8.9666 8.9783 22.8623 Å, 89.96 89.92 60.11°
Fractional coordinates of all 111 atoms:
Na 0.0000 0.0000 0.0000
Na 0.0054 0.9945 0.5005
Na 0.3377 0.3328 0.3304
Na 0.3433 0.3404 0.8314
Na 0.3549 0.9657 0.0775
Na 0.3675 0.0135 0.7453
Na 0.6674 0.6685 0.6580
Na 0.6845 0.6520 0.1591
Na 0.9707 0.3491 0.5771
Ca 0.3378 0.3354 0.1940
Ca 0.3401 0.3413 0.6922
Ca 0.6647 0.6706 0.5142
Ca 0.6734 0.6617 0.0152
Ta 0.0009 0.0017 0.8553
Ta 0.0018 0.9992 0.1464
Ta 0.0055 0.0022 0.3550
Ta 0.3388 0.3322 0.9819
Ta 0.3386 0.3331 0.4816
Ta 0.6740 0.6684 0.8168
Ta 0.6746 0.6649 0.3158
Ta 0.9981 0.9964 0.6461
Si 0.3726 0.9673 0.9202
Si 0.7180 0.9899 0.7531
Si 0.9712 0.3699 0.4202
P 0.0475 0.3295 0.0872
P 0.0502 0.6277 0.5849
P 0.2934 0.7210 0.7536
P 0.2973 0.9865 0.2521
P 0.3323 0.6270 0.0868
P 0.3337 0.0421 0.5883
P 0.3746 0.6641 0.4162
P 0.6311 0.0469 0.0861
P 0.6339 0.3284 0.5856
P 0.6679 0.3709 0.9171
P 0.6692 0.9650 0.4164
P 0.7256 0.2919 0.2532
P 0.9711 0.6641 0.9176
P 0.9884 0.2915 0.7517
P 0.9907 0.7216 0.2533
O 0.0030 0.1768 0.8042
O 0.0053 0.8148 0.9029
O 0.0084 0.1750 0.4028
O 0.0472 0.8067 0.5902
O 0.0487 0.1477 0.0903
O 0.1263 0.5220 0.6387
O 0.1321 0.3420 0.1414
O 0.1458 0.5461 0.2546
O 0.1501 0.3042 0.7521
O 0.1513 0.4983 0.9235
O 0.1528 0.0452 0.5888
O 0.1549 0.8120 0.0918
O 0.1635 0.3550 0.4258
O 0.1697 0.3035 0.0310
O 0.1712 0.5318 0.5292
O 0.1785 0.0045 0.9030
O 0.1843 0.9911 0.3042
O 0.1861 0.8262 0.8064
O 0.1876 0.8100 0.4008
O 0.2053 0.8347 0.6971
O 0.2061 0.9693 0.1951
O 0.3096 0.5352 0.0302
O 0.3097 0.5471 0.7551
O 0.3125 0.1680 0.5336
O 0.3137 0.1444 0.2547
O 0.3460 0.1203 0.6452
O 0.3511 0.5280 0.1411
O 0.3609 0.1584 0.9258
O 0.3676 0.4938 0.4228
O 0.4250 0.7168 0.4711
O 0.4249 0.8700 0.9804
O 0.4733 0.7125 0.7588
O 0.4744 0.6712 0.0806
O 0.4756 0.8176 0.2589
O 0.4803 0.8626 0.5801
O 0.4985 0.3619 0.9232
O 0.4987 0.6395 0.3630
O 0.5036 0.1460 0.4235
O 0.5078 0.8583 0.8637
O 0.5244 0.1250 0.1395
O 0.5264 0.1452 0.7565
O 0.5371 0.1667 0.0299
O 0.5368 0.3450 0.6404
O 0.5403 0.3076 0.5294
O 0.5506 0.3096 0.2551
O 0.6385 0.8703 0.3629
O 0.6442 0.4923 0.8634
O 0.6610 0.8672 0.0771
O 0.6754 0.4723 0.5802
O 0.7105 0.8081 0.7594
O 0.7154 0.4718 0.2593
O 0.7175 0.4239 0.9720
O 0.7169 0.8617 0.4712
O 0.8120 0.0406 0.0916
O 0.8163 0.1847 0.9029
O 0.8185 0.1519 0.5894
O 0.8198 0.7129 0.2589
O 0.8201 0.9993 0.4015
O 0.8219 0.4683 0.7590
O 0.8310 0.1813 0.3058
O 0.8308 0.9972 0.8070
O 0.8363 0.1994 0.1968
O 0.8384 0.9710 0.6937
O 0.8600 0.5068 0.3649
O 0.8662 0.4726 0.0795
O 0.8665 0.7111 0.9720
O 0.8702 0.6579 0.5761
O 0.8743 0.4189 0.4806
O 0.8752 0.6345 0.8638
O 0.9720 0.2014 0.6944
O 0.9728 0.8330 0.1969
O 0.9952 0.8264 0.3056

***

Entry 2:
VASP calculation (PBE-GGA) on a geometry-optimized Na5CaTi3SiP5O24 structure.

Calculated values
Its total DFT energy (no corrections) is -846.58 eV per cell. The total magnetization comes out at 0.000 μB per atom. For the MP2020-corrected energy, the calculation gives -298.682 eV/f.u. The energy of formation is -284.8 kJ/mol of atoms.

Cell: 8.9212 8.9534 22.1390 Å, 90.09 90.16 119.75°
Fractional coordinates of all 117 atoms:
Na 0.0000 0.0000 0.0000
Na 0.0001 0.3097 0.4024
Na 0.0306 0.7083 0.9049
Na 0.2736 0.3151 0.9064
Na 0.2889 0.9718 0.4030
Na 0.3130 0.6377 0.8202
Na 0.3186 0.6558 0.3156
Na 0.3367 0.9824 0.7443
Na 0.6488 0.3172 0.6579
Na 0.6525 0.3069 0.1617
Na 0.6583 0.9487 0.9054
Na 0.6674 0.6872 0.4016
Na 0.6891 0.6540 0.0843
Na 0.9463 0.6486 0.5713
Na 0.9896 0.0085 0.4922
Ca 0.6455 0.3126 0.5183
Ca 0.9871 0.9899 0.3277
Ca 0.9878 0.9918 0.8391
Ti 0.3190 0.6494 0.6786
Ti 0.3207 0.6517 0.9778
Ti 0.3232 0.6552 0.4736
Ti 0.3273 0.6588 0.1741
Ti 0.6491 0.3205 0.3036
Ti 0.6509 0.3133 0.0196
Ti 0.6634 0.3331 0.8022
Ti 0.9796 0.9858 0.6448
Ti 0.9942 0.0046 0.1444
Si 0.3140 0.3588 0.0751
Si 0.6171 0.9467 0.0761
Si 0.9891 0.6865 0.7438
P 0.0324 0.6594 0.0750
P 0.0470 0.3598 0.5773
P 0.2903 0.2925 0.7443
P 0.2935 0.9869 0.2431
P 0.3047 0.9348 0.5797
P 0.3612 0.3296 0.4083
P 0.3750 0.0341 0.9107
P 0.6191 0.6781 0.5783
P 0.6431 0.5999 0.9123
P 0.6466 0.0238 0.4085
P 0.6778 0.6780 0.2416
P 0.6832 0.9897 0.7443
P 0.9405 0.3337 0.9115
P 0.9512 0.6129 0.4118
P 0.9888 0.3020 0.2428
O 0.0092 0.8181 0.0807
O 0.0246 0.2496 0.3038
O 0.0293 0.1804 0.5818
O 0.0464 0.7972 0.8050
O 0.1214 0.5006 0.9108
O 0.1239 0.6321 0.1280
O 0.1310 0.6166 0.4136
O 0.1336 0.9427 0.5798
O 0.1390 0.4786 0.2264
O 0.1413 0.6799 0.0156
O 0.1469 0.1693 0.0868
O 0.1476 0.4523 0.5172
O 0.1476 0.6479 0.7306
O 0.1598 0.4724 0.6300
O 0.1748 0.0072 0.1944
O 0.1763 0.1814 0.4008
O 0.1772 0.1550 0.6953
O 0.1959 0.0199 0.9140
O 0.2020 0.2441 0.8057
O 0.2125 0.9580 0.3052
O 0.2843 0.4476 0.0125
O 0.2953 0.8268 0.5209
O 0.3002 0.8280 0.6349
O 0.3169 0.8324 0.2284
O 0.3334 0.4775 0.7302
O 0.3523 0.4977 0.1275
O 0.3562 0.8507 0.9141
O 0.3615 0.5068 0.4118
O 0.4355 0.2994 0.4652
O 0.4629 0.1111 0.5835
O 0.4630 0.2870 0.7462
O 0.4704 0.8464 0.4135
O 0.4723 0.1172 0.8512
O 0.4720 0.1575 0.2441
O 0.4737 0.6135 0.9108
O 0.4799 0.3478 0.3525
O 0.4809 0.1455 0.9654
O 0.4882 0.8476 0.1310
O 0.4909 0.3447 0.0689
O 0.4940 0.6509 0.2303
O 0.4978 0.8393 0.7324
O 0.5106 0.6774 0.6314
O 0.5199 0.8189 0.0156
O 0.5252 0.6804 0.5177
O 0.6227 0.1215 0.3532
O 0.6314 0.4898 0.8554
O 0.6424 0.1400 0.0688
O 0.6495 0.5251 0.5814
O 0.6530 0.5102 0.9698
O 0.6662 0.4971 0.2451
O 0.6697 0.1570 0.7453
O 0.6819 0.1289 0.4655
O 0.7353 0.7654 0.3027
O 0.7393 0.9570 0.8053
O 0.7956 0.9876 0.3998
O 0.7994 0.8468 0.5809
O 0.8024 0.7809 0.9103
O 0.8031 0.7822 0.1892
O 0.8041 0.9571 0.0846
O 0.8077 0.5012 0.7492
O 0.8140 0.0114 0.6932
O 0.8154 0.3042 0.2448
O 0.8358 0.3283 0.9670
O 0.8436 0.3407 0.8533
O 0.8449 0.4874 0.3584
O 0.8465 0.4994 0.0693
O 0.8584 0.5459 0.4717
O 0.8756 0.3581 0.5809
O 0.9600 0.1728 0.9117
O 0.9629 0.7995 0.6882
O 0.9665 0.1620 0.1933
O 0.9837 0.7960 0.4027

***

Entry 3:
VASP calculation (PBE-GGA) on a geometry-optimized Na8CaTi3Si4P2O24 structure.

Calculated values
Its total DFT energy (no corrections) is -883.98 eV per cell. The total magnetization comes out at 0.000 μB per atom. For the MP2020-corrected energy, the calculation gives -311.147 eV/f.u. The energy of formation is -283.9 kJ/mol of atoms.

Cell: 9.0956 9.0964 22.2021 Å, 89.88 89.90 60.15°
Fractional coordinates of all 126 atoms:
Na 0.0000 0.0000 0.0000
Na 0.0000 0.6369 0.7481
Na 0.0022 0.6369 0.2498
Na 0.0087 0.2732 0.5010
Na 0.0259 0.9351 0.6603
Na 0.0417 0.3097 0.1634
Na 0.2847 0.6754 0.1676
Na 0.2954 0.3103 0.6607
Na 0.3300 0.3415 0.3343
Na 0.3320 0.9715 0.5799
Na 0.3329 0.9748 0.0859
Na 0.3395 0.5923 0.8329
Na 0.3533 0.6459 0.5011
Na 0.3549 0.2764 0.0037
Na 0.6350 0.9910 0.5009
Na 0.6372 0.6386 0.0033
Na 0.6656 0.3048 0.4149
Na 0.6692 0.3049 0.9167
Na 0.6736 0.9225 0.1645
Na 0.6749 0.6642 0.6603
Na 0.7026 0.6006 0.3338
Na 0.7031 0.9779 0.8308
Na 0.9532 0.3383 0.8326
Na 0.9642 0.9687 0.3341
Ca 0.6668 0.3034 0.7706
Ca 0.9989 0.6355 0.1012
Ca 0.9990 0.6367 0.5940
Ti 0.9995 0.6369 0.3997
Ti 0.3276 0.9770 0.2336
Ti 0.3297 0.9708 0.9356
Ti 0.3325 0.9698 0.4323
Ti 0.3345 0.9617 0.7337
Ti 0.6638 0.2993 0.2718
Ti 0.6669 0.3019 0.5596
Ti 0.6748 0.2905 0.0660
Ti 0.9841 0.6462 0.9001
Si 0.9999 0.3372 0.0002
Si 0.0023 0.9364 0.4995
Si 0.0407 0.2641 0.3337
Si 0.0489 0.9579 0.8358
Si 0.2988 0.3340 0.4996
Si 0.3305 0.6810 0.3325
Si 0.3836 0.2948 0.1692
Si 0.6239 0.6869 0.8362
Si 0.6244 0.9672 0.3327
Si 0.6947 0.9384 0.0011
Si 0.6962 0.6400 0.4995
Si 0.9589 0.0189 0.1705
P 0.2969 0.6380 0.9984
P 0.3208 0.2598 0.8348
P 0.3720 0.6039 0.6683
P 0.6568 0.5895 0.1690
P 0.6579 0.0102 0.6681
P 0.9673 0.2961 0.6680
O 0.0262 0.4508 0.3396
O 0.0415 0.7805 0.8392
O 0.0516 0.8319 0.5609
O 0.0557 0.3924 0.0602
O 0.1338 0.1390 0.3904
O 0.1454 0.0076 0.1718
O 0.1448 0.1269 0.6698
O 0.1517 0.9775 0.8922
O 0.1579 0.4366 0.8377
O 0.1586 0.1449 0.9880
O 0.1595 0.6638 0.3395
O 0.1619 0.9675 0.4874
O 0.1666 0.1696 0.2747
O 0.1701 0.9389 0.7755
O 0.1914 0.6319 0.6638
O 0.1934 0.3895 0.5607
O 0.1927 0.6809 0.0562
O 0.1989 0.4711 0.4436
O 0.1997 0.4614 0.1713
O 0.2014 0.6117 0.9441
O 0.2996 0.8059 0.2737
O 0.3028 0.1689 0.7769
O 0.3252 0.7933 0.9895
O 0.3297 0.1436 0.4873
O 0.3391 0.1505 0.8904
O 0.3610 0.7733 0.3900
O 0.3652 0.7826 0.6703
O 0.3751 0.1178 0.1716
O 0.4455 0.5075 0.7265
O 0.4737 0.4745 0.0022
O 0.4791 0.2786 0.8342
O 0.4854 0.3130 0.2276
O 0.4872 0.0039 0.6693
O 0.4866 0.3241 0.5067
O 0.4882 0.5086 0.6122
O 0.4927 0.7668 0.1707
O 0.5003 0.4917 0.3281
O 0.5008 0.0002 0.3903
O 0.5024 0.2764 0.1088
O 0.5029 0.9713 0.9889
O 0.5054 0.7930 0.8927
O 0.5059 0.7991 0.4872
O 0.5290 0.8064 0.7752
O 0.5301 0.9381 0.2739
O 0.6403 0.1275 0.6121
O 0.6404 0.4996 0.1107
O 0.6423 0.5026 0.8381
O 0.6450 0.1375 0.3286
O 0.6734 0.4813 0.2256
O 0.6813 0.0840 0.7261
O 0.6865 0.4620 0.5067
O 0.6870 0.1242 0.0043
O 0.7513 0.6903 0.5606
O 0.7559 0.8262 0.0605
O 0.8123 0.7974 0.3393
O 0.8118 0.8305 0.6634
O 0.8126 0.6740 0.8395
O 0.8161 0.6072 0.1687
O 0.8215 0.3306 0.0040
O 0.8246 0.1240 0.5065
O 0.8307 0.8364 0.9437
O 0.8333 0.6030 0.4434
O 0.8377 0.1256 0.2276
O 0.8510 0.2856 0.3286
O 0.8632 0.1219 0.8375
O 0.8627 0.1358 0.1089
O 0.8691 0.2770 0.6120
O 0.8694 0.3196 0.7261
O 0.9653 0.8366 0.4435
O 0.9707 0.4736 0.9436
O 0.9724 0.8365 0.1713
O 0.9924 0.4510 0.6635